Record 1
This record from Materials Project describes crystalline ErAgSe2 at its relaxed geometry. The functional is PBE-GGA.

a = 7.264 Å, b = 7.264 Å, c = 7.264 Å
α = 133.86°, β = 133.86°, γ = 67.30°
Positions (direct):
Se1 0.764 0.764 0.000
Se2 0.236 0.236 0.000
Er1 0.000 0.000 0.000
Ag1 0.500 0.500 0.000
Ag2 0.250 0.750 0.500
Se3 0.986 0.486 0.500
Er2 0.750 0.250 0.500
Se4 0.514 0.014 0.500

Properties
**Magnetization**: 0.0 μB/cell
**SG**: I4_1/amd
**Energy**: -4.757 eV per atom
**Energy of formation**: -1.395 eV per atom


Record 2
This record from Materials Project describes crystalline CrN2 at its relaxed geometry. The functional is PBE-GGA.

a = 9.164 Å, b = 13.524 Å, c = 17.126 Å
α = 104.99°, β = 105.52°, γ = 90.00°
Positions (direct):
N1 0.154 0.740 0.828
N2 0.441 0.422 0.324
Cr1 0.239 0.928 0.103
Cr2 0.761 0.072 0.897
N3 0.635 0.869 0.271
N4 0.378 0.219 0.330
N5 0.759 0.150 0.994
N6 0.500 0.500 0.500
N7 0.411 0.814 0.339
Cr3 0.864 0.928 0.103
Cr4 0.625 0.874 0.617
N8 0.326 0.260 0.172
N9 0.117 0.578 0.676
N10 0.559 0.578 0.676
N11 0.236 0.150 0.994
N12 0.457 0.017 0.340
N13 0.846 0.260 0.172
N14 0.928 0.814 0.339
N15 0.669 0.953 0.883
Cr5 0.048 0.690 0.725
N16 0.952 0.219 0.330
N17 0.018 0.173 0.488
N18 0.982 0.827 0.512
N19 0.470 0.173 0.488
N20 0.072 0.186 0.661
N21 0.188 0.096 0.375
Cr6 0.677 0.690 0.725
N22 0.051 0.945 0.103
N23 0.622 0.781 0.670
N24 0.675 0.126 0.817
N25 0.331 0.047 0.117
Cr7 0.455 0.892 0.282
N26 0.425 0.634 0.395
N27 0.455 0.827 0.910
N28 0.139 0.334 0.277
N29 0.142 0.126 0.817
Cr8 0.518 0.526 0.409
N30 0.325 0.874 0.183
Cr9 0.735 0.160 0.093
N31 0.786 0.047 0.117
Cr10 0.976 0.237 0.580
N32 0.000 0.500 0.500
Cr11 0.109 0.474 0.591
N33 0.214 0.953 0.883
N34 0.783 0.221 0.565
Cr12 0.008 0.126 0.383
N35 0.883 0.422 0.324
N36 0.031 0.366 0.605
Cr13 0.482 0.474 0.591
N37 0.883 0.017 0.340
N38 0.530 0.827 0.512
N39 0.545 0.173 0.090
Cr14 0.952 0.310 0.275
N40 0.764 0.850 0.006
Cr15 0.265 0.840 0.907
Cr16 0.174 0.108 0.718
Cr17 0.992 0.874 0.617
N41 0.589 0.186 0.661
Cr18 0.359 0.160 0.093
N42 0.969 0.634 0.395
N43 0.217 0.779 0.435
Cr19 0.136 0.072 0.897
Cr20 0.826 0.892 0.282
N44 0.949 0.055 0.897
N45 0.048 0.781 0.670
Cr21 0.375 0.126 0.383
N46 0.575 0.366 0.605
N47 0.858 0.874 0.183
Cr22 0.891 0.526 0.409
Cr23 0.024 0.763 0.420
Cr24 0.604 0.237 0.580
Cr25 0.641 0.840 0.907
N48 0.291 0.453 0.582
N49 0.543 0.983 0.660
Cr26 0.396 0.763 0.420
Cr27 0.323 0.310 0.275
N50 0.117 0.983 0.660
N51 0.861 0.666 0.723
N52 0.709 0.547 0.418
N53 0.365 0.131 0.729
N54 0.812 0.904 0.625
N55 0.241 0.850 0.006
Cr28 0.545 0.108 0.718
N56 0.674 0.740 0.828

Properties
**Magnetization**: 0.4 μB/cell
**SG**: C2/m
**Energy**: -8.622 eV per atom
**Energy of formation**: -0.088 eV per atom


Record 3
This record from Materials Project describes crystalline LiMgSO4F at its relaxed geometry. The functional is PBE-GGA.

a = 5.309 Å, b = 6.403 Å, c = 6.988 Å
α = 108.43°, β = 106.69°, γ = 101.63°
Positions (direct):
Mg1 0.000 0.000 0.000
O1 0.227 0.824 0.114
S1 0.417 0.546 0.361
Li1 0.747 0.315 0.162
O2 0.773 0.176 0.886
O3 0.165 0.596 0.377
S2 0.583 0.454 0.639
O4 0.835 0.404 0.623
Li2 0.253 0.685 0.838
O5 0.351 0.263 0.607
O6 0.635 0.665 0.831
F1 0.137 0.927 0.752
F2 0.863 0.073 0.248
O7 0.649 0.737 0.393
O8 0.365 0.335 0.169
Mg2 0.000 0.000 0.500

Properties
**Magnetization**: 0.0 μB/cell
**Excess energy over the best structure of this formula in the dataset**: 594 meV per atom
**SG**: P-1
**Energy**: -5.301 eV per atom
**Energy of formation**: -2.033 eV per atom